First-principles (GGA-PBE) data for Ce3Y after structural relaxation, as listed in Materials Project.

The value obtained for the calculated total energy is -5.99 eV per atom. The formation energy is 7 kJ/mol of atoms. As for the spin magnetization: 0.11 μB per atom. The value obtained for the density is 7.33 g/cm3.

The structure belongs to space group P-6m2 (No. 187); the cell edges are 3.4476, 3.4476 and 11.2132 Å and the angles 90.00°, 90.00° and 120.00°. The asymmetric unit holds Ce at (0.0000, 0.0000, 0.0000), Ce at (0.6667, 0.3333, 0.2440) and Y at (0.3333, 0.6667, 0.5000).